BaSrCo2O6 | PBE+U | optimized geometry

```
BaSrCo2O6
1.0
5.6281 0.0000 0.0000
-2.8141 4.8741 0.0000
0.0000 0.0000 4.7442
Ba Sr Co O
1 1 2 6
direct
0.0000 0.0000 0.0000
0.3333 0.6667 0.5000
0.6667 0.3333 0.2496
0.6667 0.3333 0.7504
0.3651 0.1825 0.5000
0.5152 0.0305 0.0000
0.5152 0.4848 0.0000
0.8175 0.1825 0.5000
0.8175 0.6349 0.5000
0.9695 0.4848 0.0000
```

Computed properties:
SG ... No. 187
DFT formation energy ... -2.0141 eV per atom
E ... -6.03 eV/atom
Crystal system ... hexagonal